Compound: Dy2TeO2
Source: the Materials Project database
Functional: r²SCAN
Structure: optimized geometry

Calculated values
Its space-group type is No. 139.

abc: 3.911 3.911 6.805
angles: 106.70 106.70 90.00
Fractional coordinates of all 5 atoms:
Dy: 0.663 0.663 0.326
Dy: 0.337 0.337 0.674
Te: 0.000 0.000 0.000
O: 0.750 0.250 0.500
O: 0.250 0.750 0.500

Compound: Yb2Ge6Pd
Source: the Materials Project database
Functional: r²SCAN
Structure: optimized geometry

Calculated values
Its space-group type is No. 64.

abc: 5.685 5.685 21.377
angles: 90.00 90.00 90.62
Fractional coordinates of all 36 atoms:
Ge: 0.652 0.096 0.693
Ge: 0.596 0.152 0.807
Ge: 0.383 0.383 0.956
Ge: 0.848 0.404 0.193
Ge: 0.152 0.596 0.807
Ge: 0.405 0.405 0.193
Ge: 0.366 0.366 0.528
Ge: 0.153 0.153 0.808
Ge: 0.847 0.847 0.192
Ge: 0.617 0.617 0.044
Ge: 0.347 0.347 0.308
Ge: 0.134 0.134 0.028
Ge: 0.096 0.652 0.693
Ge: 0.883 0.883 0.544
Ge: 0.095 0.095 0.693
Ge: 0.595 0.595 0.807
Ge: 0.866 0.866 0.972
Ge: 0.904 0.348 0.307
Ge: 0.905 0.905 0.307
Ge: 0.653 0.653 0.692
Ge: 0.117 0.117 0.456
Ge: 0.404 0.848 0.193
Ge: 0.634 0.634 0.472
Ge: 0.348 0.904 0.307
Yb: 0.373 0.876 0.919
Yb: 0.124 0.627 0.081
Yb: 0.376 0.873 0.581
Yb: 0.876 0.373 0.919
Yb: 0.127 0.624 0.419
Yb: 0.873 0.376 0.581
Yb: 0.627 0.124 0.081
Yb: 0.624 0.127 0.419
Pd: 0.628 0.628 0.359
Pd: 0.372 0.372 0.641
Pd: 0.128 0.128 0.141
Pd: 0.872 0.872 0.859

Compound: PmErAl2
Source: the Materials Project database
Functional: r²SCAN
Structure: optimized geometry

Calculated values
Its space-group type is No. 225.

abc: 5.119 5.119 5.119
angles: 60.00 60.00 60.00
Fractional coordinates of all 4 atoms:
Al: 0.750 0.750 0.750
Al: 0.250 0.250 0.250
Er: 0.500 0.500 0.500
Pm: 0.000 0.000 0.000

Compound: HfCr2
Source: the Materials Project database
Functional: r²SCAN
Structure: optimized geometry

Calculated values
Its space-group type is No. 227.

abc: 4.985 4.985 4.985
angles: 60.00 60.00 60.00
Fractional coordinates of all 6 atoms:
Cr: 0.000 0.500 0.500
Cr: 0.500 0.500 0.500
Cr: 0.500 0.500 0.000
Cr: 0.500 0.000 0.500
Hf: 0.125 0.125 0.125
Hf: 0.875 0.875 0.875

Compound: PmTl3
Source: the Materials Project database
Functional: r²SCAN
Structure: optimized geometry

Calculated values
Its space-group type is No. 221.

abc: 4.775 4.775 4.775
angles: 90.00 90.00 90.00
Fractional coordinates of all 4 atoms:
Pm: 0.000 0.000 0.000
Tl: 0.500 0.500 0.000
Tl: 0.000 0.500 0.500
Tl: 0.500 0.000 0.500

Compound: Rh3Br
Source: the Materials Project database
Functional: r²SCAN
Structure: optimized geometry

Calculated values
Its space-group type is No. 139.

abc: 4.604 4.604 4.604
angles: 126.02 126.02 79.85
Fractional coordinates of all 4 atoms:
Br: 0.000 0.000 0.000
Rh: 0.250 0.750 0.500
Rh: 0.750 0.250 0.500
Rh: 0.500 0.500 0.000

How do the records compare in energy? In the order shown, they have -23.570 -20.481 -19.650 -25.015 -47.649 -20.713 eV/atom.
How do the records compare in ΔE_f? In the order shown, they have -3.30 -0.56 -0.42 0.08 -0.38 0.70 eV per atom.